Entry 1:
PBE Na10Ca4Mg4SiS11O48, optimized geometry; DFT formation energy = -2420 meV per atom; magnetic moment = 0.00 μB/atom; corrected total energy (MP2020 scheme) = -0.238 hartree per atom
1.0
9.081 0.000 0.000
0.070 15.806 0.000
0.017 0.039 22.991
Na Ca Mg Si S O
30 12 12 3 33 144
direct
0.000 0.000 0.000 Na
0.005 0.663 0.341 Na
0.032 0.675 0.998 Na
0.051 0.646 0.662 Na
0.181 0.807 0.501 Na
0.209 0.175 0.497 Na
0.219 0.505 0.505 Na
0.348 0.316 0.919 Na
0.360 0.989 0.247 Na
0.360 0.990 0.756 Na
0.365 0.662 0.586 Na
0.369 0.326 0.416 Na
0.374 0.662 0.085 Na
0.504 0.161 0.339 Na
0.522 0.501 0.006 Na
0.551 0.145 0.664 Na
0.560 0.810 0.001 Na
0.681 0.307 0.501 Na
0.687 0.340 0.833 Na
0.687 0.646 0.161 Na
0.709 0.675 0.498 Na
0.719 0.005 0.505 Na
0.734 0.663 0.841 Na
0.735 0.325 0.169 Na
0.866 0.161 0.587 Na
0.866 0.831 0.916 Na
0.871 0.828 0.416 Na
0.873 0.161 0.085 Na
0.879 0.488 0.750 Na
0.882 0.489 0.252 Na
0.366 0.662 0.427 Ca
0.368 0.327 0.576 Ca
0.368 0.997 0.397 Ca
0.371 0.663 0.930 Ca
0.371 0.995 0.605 Ca
0.868 0.161 0.427 Ca
0.868 0.497 0.398 Ca
0.869 0.828 0.576 Ca
0.869 0.832 0.073 Ca
0.871 0.495 0.605 Ca
0.873 0.494 0.101 Ca
0.879 0.495 0.903 Ca
0.359 0.327 0.768 Mg
0.361 0.320 0.070 Mg
0.362 0.329 0.265 Mg
0.366 0.664 0.236 Mg
0.369 0.003 0.899 Mg
0.370 0.002 0.103 Mg
0.373 0.666 0.738 Mg
0.869 0.163 0.931 Mg
0.869 0.837 0.263 Mg
0.873 0.838 0.769 Mg
0.876 0.157 0.739 Mg
0.878 0.157 0.234 Mg
0.023 0.650 0.501 Si
0.523 0.150 0.501 Si
0.717 0.650 0.001 Si
0.018 0.015 0.837 S
0.018 0.303 0.833 S
0.019 0.345 0.501 S
0.024 0.983 0.168 S
0.026 0.681 0.173 S
0.066 0.667 0.830 S
0.069 0.995 0.502 S
0.077 0.324 0.170 S
0.171 0.824 0.673 S
0.172 0.167 0.330 S
0.181 0.490 0.003 S
0.211 0.181 0.673 S
0.211 0.811 0.330 S
0.222 0.141 0.001 S
0.226 0.483 0.673 S
0.228 0.509 0.330 S
0.229 0.858 0.001 S
0.509 0.475 0.169 S
0.513 0.509 0.831 S
0.517 0.182 0.169 S
0.519 0.845 0.501 S
0.523 0.816 0.832 S
0.564 0.829 0.170 S
0.568 0.495 0.502 S
0.576 0.162 0.834 S
0.655 0.002 0.000 S
0.672 0.324 0.675 S
0.672 0.667 0.328 S
0.711 0.337 0.001 S
0.712 0.311 0.327 S
0.712 0.681 0.674 S
0.726 0.983 0.673 S
0.727 0.010 0.330 S
0.002 0.725 0.117 O
0.046 0.816 0.323 O
0.051 0.170 0.681 O
0.056 0.147 0.995 O
0.062 0.492 0.675 O
0.062 0.832 0.721 O
0.063 0.163 0.284 O
0.063 0.507 0.330 O
0.064 0.852 0.005 O
0.085 0.502 0.054 O
0.094 0.813 0.616 O
0.095 0.476 0.950 O
0.099 0.175 0.388 O
0.143 0.674 0.886 O
0.159 0.003 0.554 O
0.159 0.980 0.450 O
0.166 0.318 0.116 O
0.171 0.332 0.221 O
0.171 0.660 0.781 O
0.180 0.315 0.827 O
0.182 0.006 0.843 O
0.183 0.343 0.506 O
0.186 0.669 0.180 O
0.187 0.990 0.165 O
0.204 0.659 0.500 O
0.232 0.223 0.615 O
0.232 0.767 0.387 O
0.249 0.087 0.053 O
0.260 0.745 0.680 O
0.265 0.907 0.949 O
0.266 0.899 0.673 O
0.267 0.090 0.328 O
0.269 0.570 0.998 O
0.270 0.570 0.284 O
0.271 0.243 0.324 O
0.272 0.425 0.720 O
0.274 0.450 0.616 O
0.276 0.896 0.330 O
0.277 0.760 0.283 O
0.278 0.541 0.388 O
0.282 0.232 0.719 O
0.285 0.227 0.009 O
0.285 0.417 0.011 O
0.286 0.102 0.949 O
0.287 0.769 0.998 O
0.289 0.097 0.673 O
0.289 0.570 0.680 O
0.290 0.424 0.322 O
0.292 0.897 0.054 O
0.447 0.245 0.503 O
0.450 0.882 0.553 O
0.452 0.422 0.823 O
0.452 0.563 0.175 O
0.453 0.097 0.161 O
0.455 0.106 0.443 O
0.455 0.438 0.114 O
0.455 0.768 0.784 O
0.456 0.220 0.223 O
0.456 0.901 0.837 O
0.460 0.541 0.887 O
0.463 0.424 0.507 O
0.465 0.756 0.496 O
0.469 0.904 0.165 O
0.470 0.420 0.219 O
0.474 0.568 0.784 O
0.474 0.749 0.179 O
0.480 0.088 0.842 O
0.483 0.576 0.496 O
0.484 0.242 0.829 O
0.486 0.894 0.448 O
0.487 0.239 0.119 O
0.492 0.094 0.560 O
0.505 0.767 0.888 O
0.536 0.661 0.000 O
0.547 0.316 0.322 O
0.548 0.333 0.009 O
0.551 0.670 0.682 O
0.560 0.990 0.948 O
0.563 0.006 0.330 O
0.563 0.992 0.675 O
0.567 0.010 0.053 O
0.567 0.332 0.725 O
0.568 0.661 0.279 O
0.589 0.314 0.619 O
0.595 0.674 0.384 O
0.646 0.813 0.115 O
0.659 0.479 0.450 O
0.660 0.503 0.554 O
0.664 0.151 0.780 O
0.669 0.839 0.218 O
0.675 0.480 0.169 O
0.677 0.176 0.884 O
0.679 0.500 0.831 O
0.682 0.177 0.173 O
0.683 0.842 0.506 O
0.687 0.821 0.824 O
0.705 0.159 0.500 O
0.735 0.724 0.618 O
0.736 0.392 0.950 O
0.737 0.265 0.383 O
0.747 0.594 0.060 O
0.753 0.924 0.003 O
0.757 0.076 0.994 O
0.760 0.244 0.681 O
0.767 0.399 0.674 O
0.769 0.071 0.284 O
0.769 0.590 0.327 O
0.770 0.743 0.322 O
0.772 0.926 0.720 O
0.774 0.951 0.615 O
0.776 0.263 0.277 O
0.777 0.396 0.329 O
0.778 0.253 0.993 O
0.778 0.375 0.054 O
0.779 0.040 0.387 O
0.779 0.730 0.723 O
0.784 0.606 0.943 O
0.789 0.597 0.674 O
0.790 0.070 0.679 O
0.792 0.925 0.321 O
0.797 0.744 0.003 O
0.942 0.388 0.835 O
0.946 0.744 0.503 O
0.949 0.597 0.172 O
0.950 0.382 0.553 O
0.951 0.929 0.831 O
0.953 0.260 0.782 O
0.955 0.606 0.443 O
0.956 0.054 0.892 O
0.956 0.068 0.178 O
0.958 0.730 0.221 O
0.963 0.923 0.506 O
0.964 0.257 0.496 O
0.965 0.951 0.112 O
0.966 0.742 0.824 O
0.971 0.589 0.829 O
0.975 0.399 0.168 O
0.978 0.248 0.174 O
0.982 0.076 0.497 O
0.985 0.068 0.786 O
0.985 0.394 0.448 O
0.987 0.925 0.216 O
0.988 0.255 0.887 O
0.991 0.594 0.560 O


Entry 2:
PBE CaMg14Nb, optimized geometry; DFT formation energy = 99 meV per atom; polymorph energy (0 for the lowest one) = 0.0029 eV/atom; magnetic moment = 0.06 μB/atom
1.0
10.227 0.000 0.000
0.000 3.240 5.582
0.000 -3.240 5.582
Ca Mg Nb
1 14 1
direct
0.000 0.000 0.000 Ca
0.000 0.003 0.501 Mg
0.000 0.501 0.003 Mg
0.243 0.663 0.663 Mg
0.251 0.177 0.658 Mg
0.251 0.658 0.177 Mg
0.256 0.170 0.170 Mg
0.500 0.000 0.000 Mg
0.500 0.501 0.501 Mg
0.500 0.502 0.999 Mg
0.500 0.999 0.502 Mg
0.744 0.170 0.170 Mg
0.749 0.177 0.658 Mg
0.749 0.658 0.177 Mg
0.757 0.663 0.663 Mg
0.000 0.496 0.496 Nb


Entry 3:
PBE CaMg14Nb, optimized geometry; DFT formation energy = 96 meV per atom; polymorph energy (0 for the lowest one) = 0.0000 eV/atom; magnetic moment = 0.00 μB/atom
1.0
6.478 0.000 0.000
-3.239 5.610 0.000
0.000 0.000 10.179
Ca Mg Nb
1 14 1
direct
0.000 0.000 0.000 Ca
0.000 0.500 0.500 Mg
0.006 0.503 0.000 Mg
0.165 0.330 0.263 Mg
0.165 0.330 0.737 Mg
0.165 0.835 0.263 Mg
0.165 0.835 0.737 Mg
0.497 0.503 0.000 Mg
0.497 0.994 0.000 Mg
0.500 0.000 0.500 Mg
0.500 0.500 0.500 Mg
0.667 0.333 0.246 Mg
0.667 0.333 0.754 Mg
0.670 0.835 0.263 Mg
0.670 0.835 0.737 Mg
0.000 0.000 0.500 Nb


Entry 4:
PBE CaMg6NbO8, optimized geometry; DFT formation energy = -2768 meV per atom; polymorph energy (0 for the lowest one) = 0.0000 eV/atom; magnetic moment = 0.04 μB/atom; corrected total energy (MP2020 scheme) = -0.242 hartree per atom
1.0
4.383 0.000 0.000
0.000 4.383 0.000
0.000 0.000 8.864
Ca Mg Nb O
1 6 1 8
direct
0.000 0.000 0.000 Ca
0.000 0.000 0.500 Mg
0.000 0.500 0.262 Mg
0.000 0.500 0.738 Mg
0.500 0.000 0.262 Mg
0.500 0.000 0.738 Mg
0.500 0.500 0.500 Mg
0.500 0.500 0.000 Nb
0.000 0.000 0.266 O
0.000 0.000 0.734 O
0.000 0.500 0.000 O
0.000 0.500 0.500 O
0.500 0.000 0.000 O
0.500 0.000 0.500 O
0.500 0.500 0.262 O
0.500 0.500 0.738 O


Entry 5:
PBE CaMg6NbO8, optimized geometry; DFT formation energy = -2717 meV per atom; polymorph energy (0 for the lowest one) = 0.0509 eV/atom; magnetic moment = 0.08 μB/atom; corrected total energy (MP2020 scheme) = -0.241 hartree per atom
1.0
4.411 0.000 0.000
0.000 4.411 0.000
0.000 0.000 8.866
Ca Mg Nb O
1 6 1 8
direct
0.000 0.000 0.000 Ca
0.000 0.500 0.250 Mg
0.000 0.500 0.750 Mg
0.500 0.000 0.250 Mg
0.500 0.000 0.750 Mg
0.500 0.500 0.000 Mg
0.500 0.500 0.500 Mg
0.000 0.000 0.500 Nb
0.000 0.000 0.252 O
0.000 0.000 0.748 O
0.000 0.500 0.000 O
0.000 0.500 0.500 O
0.500 0.000 0.000 O
0.500 0.000 0.500 O
0.500 0.500 0.251 O
0.500 0.500 0.749 O


Entry 6:
PBE CaMg6Ni, optimized geometry; DFT formation energy = 61 meV per atom; polymorph energy (0 for the lowest one) = 0.0111 eV/atom; magnetic moment = 0.00 μB/atom
1.0
5.082 0.000 0.000
0.000 3.087 5.922
0.000 -3.087 5.922
Ca Mg Ni
1 6 1
direct
0.000 0.000 0.000 Ca
0.000 0.005 0.497 Mg
0.000 0.497 0.005 Mg
0.500 0.159 0.639 Mg
0.500 0.161 0.161 Mg
0.500 0.625 0.625 Mg
0.500 0.639 0.159 Mg
0.000 0.449 0.449 Ni


Entry 7:
PBE CaMg2Ni9, optimized geometry; DFT formation energy = -163 meV per atom; magnetic moment = 0.01 μB/atom
1.0
2.426 1.401 7.851
-2.426 1.401 7.851
0.000 -2.801 7.851
Ca Mg Ni
1 2 9
direct
0.000 0.000 0.000 Ca
0.143 0.143 0.143 Mg
0.857 0.857 0.857 Mg
0.082 0.586 0.586 Ni
0.333 0.333 0.333 Ni
0.414 0.414 0.918 Ni
0.414 0.918 0.414 Ni
0.500 0.500 0.500 Ni
0.586 0.082 0.586 Ni
0.586 0.586 0.082 Ni
0.667 0.667 0.667 Ni
0.918 0.414 0.414 Ni


Entry 8:
PBE CaMg6Ni, optimized geometry; DFT formation energy = 50 meV per atom; polymorph energy (0 for the lowest one) = 0.0000 eV/atom; magnetic moment = 0.00 μB/atom
1.0
-4.063 -2.149 -1.675
2.752 -5.592 0.499
-4.021 -0.996 11.029
Ca Mg Ni
2 12 2
direct
0.000 0.000 0.807 Ca
0.000 0.500 0.307 Ca
0.000 0.757 0.578 Mg
0.500 0.000 0.181 Mg
0.000 0.743 0.078 Mg
0.500 0.500 0.681 Mg
0.500 0.240 0.440 Mg
0.500 0.260 0.940 Mg
0.000 0.500 0.841 Mg
0.000 0.000 0.341 Mg
0.000 0.257 0.078 Mg
0.500 0.760 0.440 Mg
0.000 0.243 0.578 Mg
0.500 0.740 0.940 Mg
0.500 0.500 0.133 Ni
0.500 0.000 0.633 Ni